Entry from the Materials Project: Zr6Nb2O17 after structural relaxation (GGA-PBE).

Summary:
Volume, Å³ per atom: 11.21
SG: C2
DFT formation energy, eV per atom: -3.5561

Unit cell a=21.1816 b=21.1816 c=5.0321 alpha=96.06 beta=96.06 gamma=14.46
Positions (direct):
Zr: 0.0000 0.0000 0.0000
Zr: 0.0198 0.4810 0.2609
Zr: 0.1528 0.5891 0.3900
Zr: 0.1598 0.4575 0.8016
Zr: 0.4109 0.8472 0.6100
Zr: 0.5028 0.4972 0.5000
Zr: 0.5190 0.9802 0.7391
Zr: 0.5425 0.8402 0.1984
Zr: 0.6495 0.0936 0.8621
Zr: 0.7927 0.0749 0.4574
Zr: 0.9064 0.3505 0.1379
Zr: 0.9251 0.2073 0.5426
Nb: 0.0368 0.3415 0.6629
Nb: 0.2914 0.5754 0.9174
Nb: 0.4246 0.7086 0.0826
Nb: 0.6585 0.9632 0.3371
O: 0.0699 0.2157 0.7908
O: 0.0961 0.7328 0.2128
O: 0.1179 0.8084 0.6988
O: 0.1639 0.0299 0.2949
O: 0.1637 0.3492 0.8909
O: 0.1916 0.8821 0.3012
O: 0.2311 0.0886 0.3554
O: 0.2656 0.1746 0.4219
O: 0.2672 0.9039 0.7872
O: 0.2898 0.4220 0.0239
O: 0.3029 0.6431 0.1677
O: 0.3509 0.2115 0.4732
O: 0.3569 0.6971 0.8323
O: 0.3815 0.0149 0.8347
O: 0.4206 0.2604 0.5480
O: 0.4548 0.3515 0.6091
O: 0.5161 0.0880 0.9844
O: 0.5780 0.7102 0.9761
O: 0.5857 0.2460 0.0951
O: 0.6072 0.3192 0.7404
O: 0.6485 0.5452 0.3909
O: 0.6508 0.8363 0.1091
O: 0.6808 0.3928 0.2596
O: 0.7396 0.5794 0.4520
O: 0.7540 0.4143 0.9049
O: 0.7843 0.9301 0.2092
O: 0.7885 0.6491 0.5268
O: 0.8013 0.1503 0.2853
O: 0.8254 0.7344 0.5781
O: 0.8497 0.1987 0.7147
O: 0.9114 0.7689 0.6446
O: 0.9120 0.4839 0.0156
O: 0.9701 0.8361 0.7051
O: 0.9851 0.6185 0.1653

Entry from the Materials Project: NaPHO3 after structural relaxation (GGA-PBE).

Summary:
Polymorph energy (0 for the lowest one), eV per atom: 0.000
Volume, Å³ per atom: 15.75
SG: P2_1/c
DFT formation energy, eV per atom: -1.7674

Unit cell a=6.1772 b=12.4403 c=9.8426 alpha=90.00 beta=91.75 gamma=90.00
Positions (direct):
Na: 0.0588 0.1278 0.4503
Na: 0.0588 0.3722 0.9503
Na: 0.3061 0.0752 0.0246
Na: 0.3061 0.4248 0.5246
Na: 0.6939 0.5752 0.4754
Na: 0.6939 0.9248 0.9754
Na: 0.9412 0.6278 0.0497
Na: 0.9412 0.8722 0.5497
P: 0.4008 0.0036 0.6852
P: 0.4008 0.4964 0.1852
P: 0.4567 0.6813 0.9934
P: 0.4567 0.8187 0.4934
P: 0.5433 0.1813 0.5066
P: 0.5433 0.3187 0.0066
P: 0.5992 0.5036 0.8148
P: 0.5992 0.9964 0.3148
H: 0.0494 0.1870 0.1946
H: 0.0494 0.3130 0.6946
H: 0.0612 0.5901 0.6283
H: 0.0612 0.9099 0.1283
H: 0.9388 0.0901 0.8717
H: 0.9388 0.4099 0.3717
H: 0.9506 0.6870 0.3054
H: 0.9506 0.8130 0.8054
O: 0.1765 0.0136 0.6241
O: 0.1765 0.4864 0.1241
O: 0.2379 0.7293 0.0091
O: 0.2379 0.7707 0.5091
O: 0.3441 0.2503 0.0167
O: 0.3441 0.2497 0.5167
O: 0.4328 0.5050 0.3367
O: 0.4328 0.9950 0.8367
O: 0.4413 0.6001 0.8626
O: 0.4413 0.8999 0.3626
O: 0.4754 0.0993 0.3803
O: 0.4754 0.4007 0.8803
O: 0.5246 0.5993 0.1197
O: 0.5246 0.9007 0.6197
O: 0.5587 0.1001 0.6374
O: 0.5587 0.3999 0.1374
O: 0.5672 0.0050 0.1633
O: 0.5672 0.4950 0.6633
O: 0.6559 0.7503 0.4833
O: 0.6559 0.7497 0.9833
O: 0.7621 0.2293 0.4909
O: 0.7621 0.2707 0.9909
O: 0.8235 0.5136 0.8759
O: 0.8235 0.9864 0.3759

Entry from the Materials Project: Rb2TiCl6 after structural relaxation (GGA-PBE).

Summary:
Volume, Å³ per atom: 29.89
SG: Fm-3m
DFT formation energy, eV per atom: -2.2121

Unit cell a=7.2461 b=7.2461 c=7.2461 alpha=60.00 beta=60.00 gamma=60.00
Positions (direct):
Rb: 0.2500 0.2500 0.2500
Rb: 0.7500 0.7500 0.7500
Ti: 0.0000 0.0000 0.0000
Cl: 0.2306 0.2306 0.7694
Cl: 0.2306 0.7694 0.2306
Cl: 0.2306 0.7694 0.7694
Cl: 0.7694 0.2306 0.2306
Cl: 0.7694 0.2306 0.7694
Cl: 0.7694 0.7694 0.2306

Entry from the Materials Project: HoPaO4 after structural relaxation (GGA-PBE).

Summary:
Volume, Å³ per atom: 12.96
SG: P4/mmm
DFT formation energy, eV per atom: -4.1945

Unit cell a=3.8038 b=3.8038 c=5.3737 alpha=90.00 beta=90.00 gamma=90.00
Positions (direct):
Ho: 0.0000 0.0000 0.0000
Pa: 0.5000 0.5000 0.5000
O: 0.0000 0.5000 0.2586
O: 0.0000 0.5000 0.7414
O: 0.5000 0.0000 0.2586
O: 0.5000 0.0000 0.7414

Entry from the Materials Project: Na5Ti2In2SiP5O24 after structural relaxation (GGA-PBE).

Summary:
Volume, Å³ per atom: 13.26
SG: P1
DFT formation energy, eV per atom: -2.7513

Unit cell a=8.9254 b=8.9549 c=22.3826 alpha=89.90 beta=89.99 gamma=60.12
Positions (direct):
Na: 0.0000 0.0000 0.0000
Na: 0.0032 0.6288 0.4988
Na: 0.2729 0.3502 0.0031
Na: 0.3049 0.6487 0.9136
Na: 0.3280 0.6615 0.4177
Na: 0.3291 0.9694 0.8325
Na: 0.3409 0.3331 0.3336
Na: 0.6353 0.9830 0.2454
Na: 0.6396 0.0110 0.7517
Na: 0.6428 0.6289 0.9997
Na: 0.6741 0.6627 0.6668
Na: 0.9337 0.0259 0.6645
Na: 0.9738 0.9568 0.3304
Na: 0.9810 0.3185 0.0887
Na: 0.9860 0.3102 0.5800
Ti: 0.3055 0.6621 0.5615
Ti: 0.3068 0.6678 0.0703
Ti: 0.6402 0.9906 0.8997
Ti: 0.6487 0.9821 0.3998
Ti: 0.9710 0.3383 0.2291
Ti: 0.9728 0.3231 0.4354
In: 0.3065 0.6531 0.7682
In: 0.3095 0.6627 0.2702
In: 0.6322 0.0053 0.5955
In: 0.6367 0.9974 0.1043
In: 0.9721 0.3281 0.9296
In: 0.9777 0.3283 0.7330
Si: 0.3444 0.9921 0.0008
Si: 0.9393 0.9968 0.5011
Si: 0.9642 0.6194 0.3350
P: 0.0134 0.9612 0.1697
P: 0.0141 0.6593 0.6631
P: 0.2612 0.0473 0.3335
P: 0.2820 0.3207 0.8372
P: 0.3010 0.3708 0.1694
P: 0.3071 0.9504 0.6656
P: 0.3436 0.2901 0.4968
P: 0.5964 0.3696 0.6649
P: 0.6055 0.6539 0.1686
P: 0.6350 0.2881 0.0003
P: 0.6395 0.6968 0.5002
P: 0.6729 0.6358 0.8340
P: 0.6913 0.3229 0.3339
P: 0.9340 0.7039 0.0010
P: 0.9658 0.0258 0.8331
O: 0.0012 0.1057 0.8891
O: 0.0082 0.1359 0.1706
O: 0.0872 0.8612 0.2281
O: 0.0908 0.6926 0.7192
O: 0.1154 0.6897 0.0064
O: 0.1225 0.6463 0.6062
O: 0.1281 0.8142 0.5054
O: 0.1305 0.3613 0.1713
O: 0.1312 0.8469 0.8298
O: 0.1356 0.1250 0.6659
O: 0.1358 0.6416 0.3336
O: 0.1356 0.8548 0.1143
O: 0.1452 0.1376 0.3886
O: 0.1468 0.1522 0.9945
O: 0.1555 0.3243 0.4891
O: 0.1723 0.1598 0.2774
O: 0.1810 0.3462 0.8958
O: 0.1981 0.2809 0.7838
O: 0.2745 0.8688 0.3321
O: 0.2850 0.4871 0.1135
O: 0.2912 0.8433 0.6126
O: 0.3057 0.4775 0.8313
O: 0.3214 0.4468 0.2281
O: 0.3266 0.4724 0.5033
O: 0.3325 0.8542 0.7253
O: 0.3350 0.8112 0.0093
O: 0.4067 0.1839 0.5540
O: 0.4220 0.0440 0.0561
O: 0.4397 0.0357 0.3405
O: 0.4589 0.1902 0.1649
O: 0.4610 0.1977 0.4421
O: 0.4618 0.1534 0.8431
O: 0.4638 0.4645 0.0065
O: 0.4703 0.9652 0.6587
O: 0.4728 0.9570 0.9416
O: 0.4751 0.6819 0.5053
O: 0.4851 0.6699 0.8317
O: 0.4933 0.4848 0.6105
O: 0.4986 0.6818 0.2243
O: 0.5038 0.4463 0.7238
O: 0.5068 0.6380 0.1114
O: 0.5075 0.4806 0.3330
O: 0.6103 0.1920 0.9464
O: 0.6132 0.8243 0.4476
O: 0.6259 0.1848 0.6623
O: 0.6359 0.8066 0.1627
O: 0.6584 0.8167 0.8401
O: 0.6747 0.1568 0.3404
O: 0.6824 0.7628 0.5577
O: 0.6865 0.1735 0.0557
O: 0.7518 0.5304 0.8915
O: 0.7761 0.3619 0.6646
O: 0.7780 0.5531 0.7769
O: 0.7811 0.4814 0.1715
O: 0.7839 0.3410 0.3894
O: 0.7852 0.3258 0.9917
O: 0.7906 0.8135 0.3415
O: 0.8008 0.5184 0.4897
O: 0.8040 0.0087 0.8423
O: 0.8039 0.2955 0.2777
O: 0.8227 0.7763 0.0565
O: 0.8295 0.8190 0.6596
O: 0.8339 0.9618 0.4452
O: 0.8343 0.9811 0.1622
O: 0.8358 0.0311 0.5630
O: 0.8426 0.8243 0.9463
O: 0.9391 0.1335 0.7758
O: 0.9444 0.5186 0.2757
O: 0.9594 0.5208 0.9933
O: 0.9668 0.1607 0.4890
O: 0.9907 0.4993 0.3929
O: 0.9988 0.4944 0.6657

Entry from the Materials Project: DyCuPb after structural relaxation (GGA-PBE).

Summary:
Volume, Å³ per atom: 22.83
SG: P6_3mc
DFT formation energy, eV per atom: -0.3897

Unit cell a=4.6260 b=4.6260 c=7.3923 alpha=90.00 beta=90.00 gamma=120.00
Positions (direct):
Dy: 0.0000 0.0000 0.0000
Dy: 0.0000 0.0000 0.5000
Cu: 0.3333 0.6667 0.3264
Cu: 0.6667 0.3333 0.8264
Pb: 0.3333 0.6667 0.7315
Pb: 0.6667 0.3333 0.2315

Entry from the Materials Project: MgNiBi after structural relaxation (GGA-PBE).

Summary:
Volume, Å³ per atom: 20.63
SG: F-43m
DFT formation energy, eV per atom: -0.2003

Unit cell a=6.2794 b=6.2794 c=6.2794 alpha=90.00 beta=90.00 gamma=90.00
Positions (direct):
Mg: 0.0000 0.0000 0.0000
Mg: 0.0000 0.5000 0.5000
Mg: 0.5000 0.0000 0.5000
Mg: 0.5000 0.5000 0.0000
Ni: 0.2500 0.2500 0.2500
Ni: 0.2500 0.7500 0.7500
Ni: 0.7500 0.2500 0.7500
Ni: 0.7500 0.7500 0.2500
Bi: 0.0000 0.0000 0.5000
Bi: 0.0000 0.5000 0.0000
Bi: 0.5000 0.0000 0.0000
Bi: 0.5000 0.5000 0.5000

Entry from the Materials Project: CaSiN2 after structural relaxation (GGA-PBE).

Summary:
Volume, Å³ per atom: 12.33
SG: Pbca
DFT formation energy, eV per atom: -1.4061

Unit cell a=5.1607 b=10.2766 c=14.8849 alpha=90.00 beta=90.00 gamma=90.00
Positions (direct):
Ca: 0.1527 0.2259 0.1876
Ca: 0.1527 0.2741 0.6876
Ca: 0.2402 0.5085 0.5651
Ca: 0.2402 0.9915 0.0651
Ca: 0.2598 0.0085 0.5651
Ca: 0.2598 0.4915 0.0651
Ca: 0.3473 0.7259 0.1876
Ca: 0.3473 0.7741 0.6876
Ca: 0.6527 0.2259 0.3124
Ca: 0.6527 0.2741 0.8124
Ca: 0.7402 0.5085 0.9349
Ca: 0.7402 0.9915 0.4349
Ca: 0.7598 0.0085 0.9349
Ca: 0.7598 0.4915 0.4349
Ca: 0.8473 0.7259 0.3124
Ca: 0.8473 0.7741 0.8124
Si: 0.1837 0.2300 0.4373
Si: 0.1837 0.2700 0.9373
Si: 0.2264 0.5165 0.8120
Si: 0.2264 0.9835 0.3120
Si: 0.2736 0.0165 0.8120
Si: 0.2736 0.4835 0.3120
Si: 0.3163 0.7300 0.4373
Si: 0.3163 0.7700 0.9373
Si: 0.6837 0.2300 0.0627
Si: 0.6837 0.2700 0.5627
Si: 0.7264 0.5165 0.6880
Si: 0.7264 0.9835 0.1880
Si: 0.7736 0.0165 0.6880
Si: 0.7736 0.4835 0.1880
Si: 0.8163 0.7300 0.0627
Si: 0.8163 0.7700 0.5627
N: 0.0960 0.5229 0.2155
N: 0.0960 0.9771 0.7155
N: 0.1490 0.7238 0.0358
N: 0.1490 0.7762 0.5358
N: 0.1962 0.5729 0.4093
N: 0.1962 0.9271 0.9093
N: 0.2248 0.1802 0.8380
N: 0.2248 0.3198 0.3380
N: 0.2752 0.6802 0.8380
N: 0.2752 0.8198 0.3380
N: 0.3038 0.0729 0.4093
N: 0.3038 0.4271 0.9093
N: 0.3510 0.2238 0.0358
N: 0.3510 0.2762 0.5358
N: 0.4040 0.0229 0.2155
N: 0.4040 0.4771 0.7155
N: 0.5960 0.5229 0.2845
N: 0.5960 0.9771 0.7845
N: 0.6490 0.7238 0.4642
N: 0.6490 0.7762 0.9642
N: 0.6962 0.5729 0.0907
N: 0.6962 0.9271 0.5907
N: 0.7248 0.1802 0.6620
N: 0.7248 0.3198 0.1620
N: 0.7752 0.6802 0.6620
N: 0.7752 0.8198 0.1620
N: 0.8038 0.0729 0.0907
N: 0.8038 0.4271 0.5907
N: 0.8510 0.2238 0.4642
N: 0.8510 0.2762 0.9642
N: 0.9040 0.0229 0.2845
N: 0.9040 0.4771 0.7845

Entry from the Materials Project: BaMg6Ti after structural relaxation (GGA-PBE).

Summary:
Polymorph energy (0 for the lowest one), eV per atom: 0.000
Volume, Å³ per atom: 25.57
SG: P-6m2
DFT formation energy, eV per atom: 0.2005

Unit cell a=6.6832 b=6.6832 c=5.2878 alpha=90.00 beta=90.00 gamma=120.00
Positions (direct):
Ba: 0.0000 0.0000 0.0000
Mg: 0.1770 0.3540 0.5000
Mg: 0.1770 0.8230 0.5000
Mg: 0.5140 0.0281 0.0000
Mg: 0.5140 0.4860 0.0000
Mg: 0.6460 0.8230 0.5000
Mg: 0.9719 0.4860 0.0000
Ti: 0.6667 0.3333 0.5000

Entry from the Materials Project: U3Cu3Sb4 after structural relaxation (GGA-PBE).

Summary:
Volume, Å³ per atom: 21.19
SG: I-43d
DFT formation energy, eV per atom: -0.2304

Unit cell a=8.1964 b=8.1964 c=8.1964 alpha=109.47 beta=109.47 gamma=109.47
Positions (direct):
U: 0.1250 0.8750 0.2500
U: 0.2500 0.1250 0.8750
U: 0.3750 0.6250 0.7500
U: 0.6250 0.7500 0.3750
U: 0.7500 0.3750 0.6250
U: 0.8750 0.2500 0.1250
Cu: 0.1250 0.7500 0.8750
Cu: 0.2500 0.6250 0.3750
Cu: 0.3750 0.2500 0.6250
Cu: 0.6250 0.3750 0.2500
Cu: 0.7500 0.8750 0.1250
Cu: 0.8750 0.1250 0.7500
Sb: 0.0000 0.1725 0.5000
Sb: 0.0000 0.6725 0.5000
Sb: 0.1725 0.5000 0.0000
Sb: 0.3275 0.3275 0.3275
Sb: 0.5000 0.0000 0.1725
Sb: 0.5000 0.0000 0.6725
Sb: 0.6725 0.5000 0.0000
Sb: 0.8275 0.8275 0.8275

Entry from the Materials Project: TiSiO4 after structural relaxation (GGA-PBE).

Summary:
Volume, Å³ per atom: 9.92
SG: I4_1/amd
DFT formation energy, eV per atom: -3.2309

Unit cell a=5.3722 b=5.3722 c=5.3722 alpha=107.84 beta=107.84 gamma=112.79
Positions (direct):
Ti: 0.3750 0.6250 0.7500
Ti: 0.6250 0.3750 0.2500
Si: 0.1250 0.8750 0.2500
Si: 0.8750 0.1250 0.7500
O: 0.1329 0.6913 0.4416
O: 0.2503 0.3087 0.9416
O: 0.3087 0.2503 0.4416
O: 0.3087 0.8671 0.0584
O: 0.6913 0.1329 0.9416
O: 0.6913 0.7497 0.5584
O: 0.7497 0.6913 0.0584
O: 0.8671 0.3087 0.5584

Entry from the Materials Project: SrAgO2 after structural relaxation (GGA-PBE).

Summary:
Volume, Å³ per atom: 15.89
SG: Pmma
DFT formation energy, eV per atom: -1.8260

Unit cell a=7.6085 b=4.5727 c=3.6541 alpha=90.00 beta=90.00 gamma=90.00
Positions (direct):
Sr: 0.2500 0.0000 0.0090
Sr: 0.7500 0.0000 0.9910
Ag: 0.0000 0.5000 0.5000
Ag: 0.5000 0.5000 0.5000
O: 0.0000 0.0000 0.5000
O: 0.2500 0.5000 0.7536
O: 0.5000 0.0000 0.5000
O: 0.7500 0.5000 0.2464